Below is Ca5CoPb3 after structural relaxation, with properties calculated at the PBE level.

a = 9.512 Å, b = 9.512 Å, c = 6.761 Å
α = 90.00°, β = 90.00°, γ = 120.00°
Fractional coordinates of all 18 atoms:
Ca  0.251  0.000  0.250
Ca  0.749  0.000  0.750
Ca  0.000  0.251  0.250
Ca  0.000  0.749  0.750
Ca  0.749  0.749  0.250
Ca  0.251  0.251  0.750
Ca  0.333  0.667  0.000
Ca  0.667  0.333  0.000
Ca  0.667  0.333  0.500
Ca  0.333  0.667  0.500
Co  0.000  0.000  0.000
Co  0.000  0.000  0.500
Pb  0.605  0.000  0.250
Pb  0.395  0.000  0.750
Pb  0.000  0.605  0.250
Pb  0.000  0.395  0.750
Pb  0.395  0.395  0.250
Pb  0.605  0.605  0.750

Calculated values
As for the space group: P6_3/mcm. As for the crystal system: hexagonal. The total moment is 0.04 Bohr magnetons per cell.


Below is MgSi2 after structural relaxation, with properties calculated at the PBE level.

a = 4.449 Å, b = 5.278 Å, c = 9.674 Å
α = 93.65°, β = 102.62°, γ = 112.25°
Fractional coordinates of all 12 atoms:
Mg  0.420  0.691  0.798
Mg  0.427  0.222  0.289
Mg  0.075  0.599  0.219
Mg  0.425  0.970  0.552
Si  0.380  0.395  0.025
Si  0.095  0.870  0.978
Si  0.746  0.591  0.572
Si  0.771  0.854  0.364
Si  0.774  0.347  0.869
Si  0.723  0.058  0.072
Si  0.091  0.334  0.519
Si  0.075  0.069  0.743

Calculated values
As for the space group: P1. As for the crystal system: triclinic. The total moment is 0.01 Bohr magnetons per cell.


Below is Nd4S7 after structural relaxation, with properties calculated at the PBE level.

a = 5.608 Å, b = 5.608 Å, c = 8.085 Å
α = 90.00°, β = 90.00°, γ = 90.00°
Fractional coordinates of all 11 atoms:
Nd  0.247  0.247  0.272
Nd  0.753  0.753  0.272
Nd  0.247  0.753  0.728
Nd  0.753  0.247  0.728
S  0.253  0.253  0.636
S  0.747  0.747  0.636
S  0.253  0.747  0.364
S  0.747  0.253  0.364
S  0.000  0.000  0.000
S  0.500  0.000  0.000
S  0.000  0.500  0.000

Calculated values
As for the space group: P-42m. As for the crystal system: tetragonal.


Below is ZrH6O3F4 after structural relaxation, with properties calculated at the PBE level.

a = 6.878 Å, b = 7.749 Å, c = 10.764 Å
α = 90.00°, β = 90.00°, γ = 100.13°
Fractional coordinates of all 56 atoms:
Zr  0.743  0.461  0.545
Zr  0.257  0.039  0.045
Zr  0.257  0.539  0.455
Zr  0.743  0.961  0.955
H  0.597  0.382  0.123
H  0.403  0.118  0.623
H  0.403  0.618  0.877
H  0.597  0.882  0.377
H  0.814  0.383  0.082
H  0.186  0.117  0.582
H  0.186  0.617  0.918
H  0.814  0.883  0.418
H  0.763  0.342  0.293
H  0.237  0.158  0.793
H  0.237  0.658  0.707
H  0.763  0.842  0.207
H  0.754  0.162  0.375
H  0.246  0.338  0.875
H  0.246  0.838  0.625
H  0.754  0.662  0.125
H  0.736  0.570  0.800
H  0.264  0.930  0.300
H  0.264  0.430  0.200
H  0.736  0.070  0.700
H  0.763  0.368  0.804
H  0.237  0.132  0.304
H  0.237  0.632  0.196
H  0.763  0.868  0.696
O  0.735  0.438  0.142
O  0.265  0.062  0.642
O  0.265  0.562  0.858
O  0.735  0.938  0.358
O  0.756  0.292  0.379
O  0.244  0.208  0.879
O  0.244  0.708  0.621
O  0.756  0.792  0.121
O  0.777  0.474  0.750
O  0.223  0.026  0.250
O  0.223  0.526  0.250
O  0.777  0.974  0.750
F  0.030  0.393  0.578
F  0.970  0.107  0.078
F  0.970  0.607  0.422
F  0.030  0.893  0.922
F  0.434  0.443  0.598
F  0.566  0.057  0.098
F  0.566  0.557  0.402
F  0.434  0.943  0.902
F  0.763  0.719  0.596
F  0.237  0.781  0.096
F  0.237  0.281  0.404
F  0.763  0.219  0.904
F  0.657  0.202  0.606
F  0.343  0.298  0.106
F  0.343  0.798  0.394
F  0.657  0.702  0.894

Calculated values
As for the space group: P2_1/c. As for the crystal system: monoclinic. The total moment is 0.01 Bohr magnetons per cell.


Below is In2S3O12 after structural relaxation, with properties calculated at the PBE level.

a = 9.263 Å, b = 9.263 Å, c = 9.263 Å
α = 55.19°, β = 55.19°, γ = 55.19°
Fractional coordinates of all 34 atoms:
In  0.855  0.855  0.855
In  0.145  0.145  0.145
In  0.651  0.651  0.651
In  0.349  0.349  0.349
S  0.544  0.249  0.959
S  0.959  0.544  0.249
S  0.249  0.959  0.544
S  0.456  0.751  0.041
S  0.041  0.456  0.751
S  0.751  0.041  0.456
O  0.402  0.202  0.981
O  0.981  0.402  0.202
O  0.202  0.981  0.402
O  0.598  0.798  0.019
O  0.019  0.598  0.798
O  0.798  0.019  0.598
O  0.529  0.210  0.145
O  0.145  0.529  0.210
O  0.210  0.145  0.529
O  0.471  0.790  0.855
O  0.855  0.471  0.790
O  0.790  0.855  0.471
O  0.736  0.130  0.867
O  0.867  0.736  0.130
O  0.130  0.867  0.736
O  0.264  0.870  0.133
O  0.133  0.264  0.870
O  0.870  0.133  0.264
O  0.511  0.451  0.836
O  0.836  0.511  0.451
O  0.451  0.836  0.511
O  0.489  0.549  0.164
O  0.164  0.489  0.549
O  0.549  0.164  0.489

Calculated values
As for the space group: R-3. As for the crystal system: trigonal.


Below is LuMgAu2 after structural relaxation, with properties calculated at the PBE level.

a = 4.844 Å, b = 4.844 Å, c = 4.844 Å
α = 60.00°, β = 60.00°, γ = 60.00°
Fractional coordinates of all 4 atoms:
Lu  0.500  0.500  0.500
Mg  0.000  0.000  0.000
Au  0.750  0.750  0.750
Au  0.250  0.250  0.250

Calculated values
As for the space group: Fm-3m. As for the crystal system: cubic.


Below is Rb2ScHgF6 after structural relaxation, with properties calculated at the PBE level.

a = 6.545 Å, b = 6.545 Å, c = 6.545 Å
α = 60.00°, β = 60.00°, γ = 60.00°
Fractional coordinates of all 10 atoms:
Rb  0.750  0.750  0.750
Rb  0.250  0.250  0.250
Sc  0.000  0.000  0.000
Hg  0.500  0.500  0.500
F  0.780  0.220  0.220
F  0.220  0.220  0.780
F  0.220  0.780  0.780
F  0.220  0.780  0.220
F  0.780  0.220  0.780
F  0.780  0.780  0.220

Calculated values
As for the space group: Fm-3m. As for the crystal system: cubic. The total moment is 1.00 Bohr magnetons per cell.


Below is OsPt3 after structural relaxation, with properties calculated at the PBE level.

a = 9.218 Å, b = 9.218 Å, c = 9.218 Å
α = 17.43°, β = 17.43°, γ = 17.43°
Fractional coordinates of all 4 atoms:
Os  0.000  0.000  0.000
Pt  0.253  0.253  0.253
Pt  0.500  0.500  0.500
Pt  0.747  0.747  0.747

Calculated values
As for the space group: R-3m. As for the crystal system: trigonal. The total moment is 0.05 Bohr magnetons per cell.


One value per record, in order, for formation energy: -271 247 -2157 -2255 -1927 -792 -3107 78 meV/atom.